No. 1
{
  "formula": "K3TaS4",
  "functional": "PBE",
  "state": "relaxed",
  "formation_enthalpy_0k_ev_per_atom": -1.523,
  "dft_energy_ev_per_cell": -167.6,
  "volume_a3_per_atom": 30.73,
  "space_group": "Pnma (62)",
  "density_g_cm3": 2.9,
  "energy_corrected_mp2020_ev_per_atom": -5.489,
  "lattice_angstrom": [[-2.989, 7.579, 4.643], [-8.183, -0.140, -5.040], [-4.546, -6.423, 7.559]],
  "species": ["S", "S", "S", "S", "S", "S", "S", "S", "S", "S", "S", "S", "S", "S", "S", "S", "K", "K", "K", "K", "K", "K", "K", "K", "K", "K", "K", "K", "Ta", "Ta", "Ta", "Ta"],
  "frac_coords": [[0.834, 0.449, 0.577], [0.688, 0.749, 0.750], [0.992, 0.089, 0.750], [0.666, 0.949, 0.423], [0.834, 0.449, 0.923], [0.008, 0.911, 0.250], [0.508, 0.589, 0.250], [0.492, 0.411, 0.750], [0.312, 0.251, 0.250], [0.188, 0.751, 0.750], [0.812, 0.249, 0.250], [0.166, 0.551, 0.423], [0.166, 0.551, 0.077], [0.666, 0.949, 0.077], [0.334, 0.051, 0.577], [0.334, 0.051, 0.923], [0.633, 0.074, 0.750], [0.439, 0.713, 0.545], [0.561, 0.287, 0.045], [0.561, 0.287, 0.455], [0.367, 0.926, 0.250], [0.867, 0.574, 0.250], [0.439, 0.713, 0.955], [0.061, 0.213, 0.455], [0.939, 0.787, 0.545], [0.061, 0.213, 0.045], [0.939, 0.787, 0.955], [0.133, 0.426, 0.750], [0.713, 0.512, 0.750], [0.787, 0.012, 0.250], [0.213, 0.988, 0.750], [0.287, 0.488, 0.250]]
}

***

No. 2
{
  "formula": "Ca8MgAl6Si5O28",
  "functional": "PBE",
  "state": "relaxed",
  "formation_enthalpy_0k_ev_per_atom": -3.056,
  "dft_energy_ev_per_cell": -339.4,
  "volume_a3_per_atom": 13.18,
  "space_group": "P1 (1)",
  "density_g_cm3": 2.9,
  "energy_corrected_mp2020_ev_per_atom": -7.343,
  "lattice_angstrom": [[-0.351, 1.861, 8.299], [-3.990, -8.120, -0.347], [8.475, -2.887, -2.808]],
  "species": ["O", "O", "O", "O", "O", "O", "O", "O", "O", "O", "O", "O", "O", "O", "O", "O", "O", "O", "O", "O", "O", "O", "O", "O", "O", "O", "O", "O", "Si", "Si", "Si", "Si", "Si", "Ca", "Ca", "Ca", "Ca", "Ca", "Ca", "Ca", "Ca", "Al", "Al", "Al", "Al", "Al", "Al", "Mg"],
  "frac_coords": [[0.575, 0.479, 0.602], [0.729, 0.737, 0.505], [0.694, 0.261, 0.499], [0.221, 0.106, 0.977], [0.620, 0.269, 0.766], [0.024, 0.433, 0.770], [0.560, 0.979, 0.144], [0.933, 0.388, 0.363], [0.787, 0.995, 0.711], [0.370, 0.178, 0.451], [0.449, 0.438, 0.269], [0.328, 0.624, 0.431], [0.515, 0.922, 0.423], [0.415, 0.447, 0.909], [0.268, 0.885, 0.556], [0.785, 0.051, 0.996], [0.444, 0.674, 0.136], [0.861, 0.017, 0.457], [0.946, 0.446, 0.093], [0.224, 0.800, 0.948], [0.238, 0.629, 0.670], [0.187, 0.290, 0.611], [0.571, 0.774, 0.941], [0.620, 0.324, 0.103], [0.882, 0.786, 0.895], [0.165, 0.900, 0.216], [0.767, 0.603, 0.193], [0.984, 0.086, 0.095], [0.443, 0.811, 0.032], [0.827, 0.436, 0.198], [0.723, 0.924, 0.521], [0.367, 0.744, 0.607], [0.573, 0.293, 0.585], [0.983, 0.666, 0.702], [0.683, 0.543, 0.891], [0.830, 0.912, 0.208], [0.364, 0.176, 0.821], [0.920, 0.240, 0.893], [0.187, 0.340, 0.375], [0.189, 0.655, 0.160], [0.486, 0.177, 0.226], [0.521, 0.503, 0.123], [0.533, 0.583, 0.445], [0.693, 0.874, 0.825], [0.225, 0.458, 0.749], [0.100, 0.941, 0.014], [0.326, 0.972, 0.416], [0.923, 0.251, 0.523]]
}

***

No. 3
{
  "formula": "Fe3B",
  "functional": "PBE",
  "state": "relaxed",
  "formation_enthalpy_0k_ev_per_atom": -0.202,
  "dft_energy_ev_per_cell": -131.6,
  "volume_a3_per_atom": 9.77,
  "space_group": "I-4 (82)",
  "density_g_cm3": 7.6,
  "lattice_angstrom": [[5.976, 1.851, 1.477], [-4.008, -4.990, 0.596], [1.013, -0.664, -6.314]],
  "species": ["B", "B", "B", "B", "Fe", "Fe", "Fe", "Fe", "Fe", "Fe", "Fe", "Fe", "Fe", "Fe", "Fe", "Fe"],
  "frac_coords": [[0.220, 0.557, 0.750], [0.808, 0.470, 0.250], [0.443, 0.192, 0.663], [0.530, 0.780, 0.337], [0.832, 0.641, 0.976], [0.377, 0.987, 0.333], [0.082, 0.474, 0.043], [0.359, 0.335, 0.191], [0.665, 0.856, 0.024], [0.962, 0.918, 0.393], [0.956, 0.623, 0.609], [0.144, 0.168, 0.809], [0.526, 0.569, 0.607], [0.013, 0.346, 0.391], [0.654, 0.044, 0.667], [0.431, 0.038, 0.957]]
}

***

No. 4
{
  "formula": "La3InN",
  "functional": "PBE",
  "state": "relaxed",
  "formation_enthalpy_0k_ev_per_atom": -0.948,
  "dft_energy_ev_per_cell": -30.3,
  "volume_a3_per_atom": 27.12,
  "space_group": "Pm-3m (221)",
  "density_g_cm3": 6.7,
  "energy_corrected_mp2020_ev_per_atom": -6.127,
  "lattice_angstrom": [[-2.156, -1.470, 4.425], [0.040, -4.881, -1.602], [4.663, -0.637, 2.060]],
  "species": ["La", "La", "La", "In", "N"],
  "frac_coords": [[0.500, 0.000, 0.500], [0.500, 0.500, 0.000], [0.000, 0.500, 0.500], [0.000, 0.000, 0.000], [0.500, 0.500, 0.500]]
}

***

No. 5
{
  "formula": "MnCd4S5",
  "functional": "PBE",
  "state": "relaxed",
  "formation_enthalpy_0k_ev_per_atom": -0.849,
  "polymorph_energy_mev_per_atom": 17,
  "dft_energy_ev_per_cell": -39.5,
  "volume_a3_per_atom": 25.44,
  "space_group": "R3m (160)",
  "density_g_cm3": 4.3,
  "energy_corrected_mp2020_ev_per_atom": -4.203,
  "lattice_angstrom": [[16.979, -2.082, 0.000], [16.979, 2.082, 0.000], [16.724, 0.000, 3.598]],
  "species": ["Cd", "Cd", "Cd", "Cd", "S", "S", "S", "S", "S", "Mn"],
  "frac_coords": [[0.798, 0.798, 0.798], [0.200, 0.200, 0.200], [0.600, 0.600, 0.600], [0.001, 0.001, 0.001], [0.353, 0.353, 0.353], [0.951, 0.951, 0.951], [0.550, 0.550, 0.550], [0.747, 0.747, 0.747], [0.149, 0.149, 0.149], [0.400, 0.400, 0.400]]
}

***

No. 6
{
  "formula": "RbTiPS5",
  "functional": "PBE",
  "state": "relaxed",
  "formation_enthalpy_0k_ev_per_atom": -1.252,
  "dft_energy_ev_per_cell": -169.9,
  "volume_a3_per_atom": 28.06,
  "space_group": "C2/m (12)",
  "density_g_cm3": 2.4,
  "energy_corrected_mp2020_ev_per_atom": -5.623,
  "lattice_angstrom": [[-3.989, -7.721, 4.876], [3.154, -8.246, 4.620], [0.522, -0.711, 16.065]],
  "species": ["Ti", "Ti", "Ti", "Ti", "S", "S", "S", "S", "S", "S", "S", "S", "S", "S", "S", "S", "S", "S", "S", "S", "S", "S", "S", "S", "Rb", "Rb", "Rb", "Rb", "P", "P", "P", "P"],
  "frac_coords": [[0.220, 0.780, 0.500], [0.275, 0.725, 0.000], [0.725, 0.275, 0.000], [0.780, 0.220, 0.500], [0.560, 0.560, 0.552], [0.591, 0.123, 0.653], [0.828, 0.828, 0.883], [0.770, 0.235, 0.847], [0.023, 0.023, 0.585], [0.220, 0.220, 0.610], [0.409, 0.877, 0.347], [0.780, 0.780, 0.390], [0.606, 0.606, 0.913], [0.230, 0.765, 0.153], [0.172, 0.172, 0.117], [0.877, 0.409, 0.347], [0.891, 0.891, 0.050], [0.235, 0.770, 0.847], [0.394, 0.394, 0.087], [0.123, 0.591, 0.653], [0.109, 0.109, 0.950], [0.765, 0.230, 0.153], [0.977, 0.977, 0.415], [0.440, 0.440, 0.448], [0.664, 0.664, 0.137], [0.702, 0.702, 0.642], [0.336, 0.336, 0.863], [0.298, 0.298, 0.358], [0.333, 0.333, 0.595], [0.667, 0.667, 0.405], [0.075, 0.075, 0.098], [0.925, 0.925, 0.902]]
}

***

No. 7
{
  "formula": "LiMg6Sn",
  "functional": "PBE",
  "state": "relaxed",
  "formation_enthalpy_0k_ev_per_atom": -0.076,
  "polymorph_energy_mev_per_atom": 0,
  "dft_energy_ev_per_cell": -32.3,
  "volume_a3_per_atom": 22.44,
  "density_g_cm3": 2.5,
  "lattice_angstrom": [[-2.965, 3.131, 2.750], [-2.214, -4.991, 3.295], [8.116, 1.242, 7.336]],
  "species": ["Mg", "Mg", "Mg", "Mg", "Mg", "Mg", "Mg", "Mg", "Mg", "Mg", "Mg", "Mg", "Sn", "Sn", "Li", "Li"],
  "frac_coords": [[0.500, 0.249, 0.417], [0.500, 0.751, 0.417], [0.500, 0.251, 0.917], [0.000, 0.751, 0.584], [0.500, 0.500, 0.666], [0.000, 0.000, 0.333], [0.500, 0.749, 0.917], [0.000, 0.749, 0.084], [0.000, 0.251, 0.084], [0.500, 0.000, 0.166], [0.000, 0.500, 0.833], [0.000, 0.249, 0.584], [0.000, 0.000, 0.831], [0.000, 0.500, 0.331], [0.500, 0.000, 0.667], [0.500, 0.500, 0.167]]
}

***

No. 8
{
  "formula": "Sc2Ni",
  "functional": "PBE",
  "state": "relaxed",
  "formation_enthalpy_0k_ev_per_atom": -0.356,
  "dft_energy_ev_per_cell": -156.1,
  "volume_a3_per_atom": 18.41,
  "space_group": "Fd-3m (227)",
  "density_g_cm3": 4.5,
  "lattice_angstrom": [[0.000, 6.046, 6.046], [6.046, 0.000, 6.046], [6.046, 6.046, 0.000]],
  "species": ["Sc", "Sc", "Sc", "Sc", "Sc", "Sc", "Sc", "Sc", "Sc", "Sc", "Sc", "Sc", "Sc", "Sc", "Sc", "Sc", "Ni", "Ni", "Ni", "Ni", "Ni", "Ni", "Ni", "Ni"],
  "frac_coords": [[0.936, 0.936, 0.564], [0.564, 0.936, 0.564], [0.314, 0.686, 0.314], [0.314, 0.314, 0.686], [0.936, 0.564, 0.936], [0.125, 0.125, 0.125], [0.564, 0.936, 0.936], [0.936, 0.564, 0.564], [0.686, 0.314, 0.314], [0.686, 0.686, 0.314], [0.686, 0.314, 0.686], [0.314, 0.686, 0.686], [0.125, 0.125, 0.625], [0.564, 0.564, 0.936], [0.125, 0.625, 0.125], [0.625, 0.125, 0.125], [0.337, 0.337, 0.337], [0.913, 0.913, 0.913], [0.913, 0.913, 0.261], [0.261, 0.913, 0.913], [0.989, 0.337, 0.337], [0.913, 0.261, 0.913], [0.337, 0.989, 0.337], [0.337, 0.337, 0.989]]
}

***

No. 9
{
  "formula": "CsK3",
  "functional": "PBE",
  "state": "relaxed",
  "formation_enthalpy_0k_ev_per_atom": 0.027,
  "dft_energy_ev_per_cell": -4.1,
  "volume_a3_per_atom": 83.65,
  "space_group": "Fm-3m (225)",
  "density_g_cm3": 1.2,
  "lattice_angstrom": [[1.584, -5.415, -5.375], [3.857, -6.468, 2.004], [-3.705, -6.853, 0.163]],
  "species": ["K", "K", "K", "Cs"],
  "frac_coords": [[0.500, 0.500, 0.500], [0.250, 0.250, 0.250], [0.750, 0.750, 0.750], [0.000, 0.000, 0.000]]
}

***

No. 10
{
  "formula": "Na2Zr2Si2SO12",
  "functional": "PBE",
  "state": "relaxed",
  "formation_enthalpy_0k_ev_per_atom": -2.977,
  "dft_energy_ev_per_cell": -854.5,
  "volume_a3_per_atom": 14.69,
  "density_g_cm3": 3.0,
  "energy_corrected_mp2020_ev_per_atom": -7.929,
  "lattice_angstrom": [[9.124, 0.011, -0.009], [-4.552, 7.907, 0.009], [-0.025, 0.014, 23.206]],
  "species": ["S", "S", "S", "S", "S", "S", "O", "O", "O", "O", "O", "O", "O", "O", "O", "O", "O", "O", "O", "O", "O", "O", "O", "O", "O", "O", "O", "O", "O", "O", "O", "O", "O", "O", "O", "O", "O", "O", "O", "O", "O", "O", "O", "O", "O", "O", "O", "O", "O", "O", "O", "O", "O", "O", "O", "O", "O", "O", "O", "O", "O", "O", "O", "O", "O", "O", "O", "O", "O", "O", "O", "O", "O", "O", "O", "O", "O", "O", "Si", "Si", "Si", "Si", "Si", "Si", "Si", "Si", "Si", "Si", "Si", "Si", "Na", "Na", "Na", "Na", "Na", "Na", "Na", "Na", "Na", "Na", "Na", "Na", "Zr", "Zr", "Zr", "Zr", "Zr", "Zr", "Zr", "Zr", "Zr", "Zr", "Zr", "Zr"],
  "frac_coords": [[0.664, 0.041, 0.084], [0.331, 0.374, 0.418], [0.997, 0.708, 0.751], [0.626, 0.669, 0.918], [0.959, 0.336, 0.584], [0.292, 0.003, 0.251], [0.320, 0.844, 0.970], [0.183, 0.021, 0.589], [0.356, 0.480, 0.365], [0.520, 0.644, 0.865], [0.691, 0.542, 0.522], [0.853, 0.537, 0.744], [0.023, 0.840, 0.412], [0.653, 0.511, 0.637], [0.490, 0.366, 0.421], [0.880, 0.358, 0.636], [0.824, 0.033, 0.088], [0.172, 0.192, 0.695], [0.689, 0.173, 0.745], [0.634, 0.510, 0.921], [0.967, 0.176, 0.588], [0.827, 0.311, 0.245], [0.141, 0.495, 0.862], [0.359, 0.858, 0.578], [0.517, 0.688, 0.255], [0.494, 0.156, 0.921], [0.853, 0.311, 0.532], [0.125, 0.643, 0.356], [0.186, 0.204, 0.411], [0.476, 0.307, 0.745], [0.645, 0.150, 0.422], [0.142, 0.641, 0.078], [0.357, 0.875, 0.856], [0.642, 0.120, 0.136], [0.177, 0.173, 0.087], [0.489, 0.125, 0.641], [0.976, 0.787, 0.802], [0.156, 0.458, 0.975], [0.987, 0.177, 0.304], [0.875, 0.511, 0.141], [0.839, 0.525, 0.029], [0.808, 0.828, 0.195], [0.312, 0.483, 0.755], [0.475, 0.161, 0.529], [0.156, 0.680, 0.470], [0.157, 0.699, 0.755], [0.505, 0.859, 0.362], [0.844, 0.506, 0.421], [0.519, 0.871, 0.077], [0.511, 0.840, 0.754], [0.356, 0.506, 0.078], [0.186, 0.977, 0.199], [0.791, 0.976, 0.689], [0.463, 0.147, 0.244], [0.809, 0.974, 0.411], [0.979, 0.817, 0.089], [0.024, 0.209, 0.189], [0.458, 0.309, 0.022], [0.160, 0.489, 0.254], [0.796, 0.814, 0.911], [0.823, 0.791, 0.308], [0.213, 0.024, 0.302], [0.689, 0.147, 0.032], [0.309, 0.453, 0.469], [0.693, 0.524, 0.245], [0.209, 0.177, 0.808], [0.494, 0.644, 0.578], [0.489, 0.347, 0.137], [0.850, 0.355, 0.922], [0.129, 0.481, 0.577], [0.301, 0.843, 0.255], [0.827, 0.823, 0.587], [0.023, 0.814, 0.699], [0.542, 0.844, 0.475], [0.547, 0.691, 0.969], [0.823, 0.013, 0.804], [0.160, 0.977, 0.912], [0.026, 0.191, 0.911], [0.332, 0.961, 0.915], [0.704, 0.710, 0.250], [0.999, 0.294, 0.248], [0.623, 0.963, 0.417], [0.037, 0.377, 0.917], [0.039, 0.668, 0.415], [0.373, 0.335, 0.081], [0.290, 0.296, 0.750], [0.706, 0.001, 0.748], [0.956, 0.630, 0.084], [0.370, 0.044, 0.584], [0.665, 0.627, 0.581], [0.660, 0.958, 0.588], [0.348, 0.651, 0.668], [0.014, 0.984, 0.001], [0.375, 0.007, 0.754], [0.993, 0.625, 0.254], [0.683, 0.319, 0.834], [0.709, 0.674, 0.421], [0.042, 0.340, 0.088], [0.016, 0.986, 0.501], [0.681, 0.317, 0.334], [0.349, 0.652, 0.168], [0.326, 0.291, 0.921], [0.336, 0.682, 0.520], [0.651, 0.330, 0.686], [0.332, 0.666, 0.314], [0.334, 0.668, 0.814], [0.666, 0.333, 0.981], [0.999, 0.999, 0.647], [0.985, 0.997, 0.353], [0.001, 0.001, 0.147], [0.003, 0.015, 0.853], [0.667, 0.334, 0.481], [0.318, 0.664, 0.020], [0.670, 0.349, 0.186]]
}

***

No. 11
{
  "formula": "RbNaMg6O7",
  "functional": "PBE",
  "state": "relaxed",
  "formation_enthalpy_0k_ev_per_atom": -2.265,
  "polymorph_energy_mev_per_atom": 0,
  "dft_energy_ev_per_cell": -75.7,
  "volume_a3_per_atom": 13.93,
  "space_group": "P4mm (99)",
  "density_g_cm3": 2.9,
  "energy_corrected_mp2020_ev_per_atom": -5.368,
  "lattice_angstrom": [[4.251, 0.000, 0.000], [0.000, 4.251, 0.000], [0.000, 0.000, 11.560]],
  "species": ["O", "O", "O", "O", "O", "O", "O", "Rb", "Mg", "Mg", "Mg", "Mg", "Mg", "Mg", "Na"],
  "frac_coords": [[0.500, 0.500, 0.681], [0.500, 0.000, 0.489], [0.000, 0.000, 0.680], [0.000, 0.500, 0.489], [0.000, 0.500, 0.106], [0.500, 0.000, 0.106], [0.500, 0.500, 0.308], [0.500, 0.500, 0.967], [0.500, 0.000, 0.270], [0.000, 0.000, 0.496], [0.500, 0.000, 0.670], [0.000, 0.500, 0.270], [0.500, 0.500, 0.481], [0.000, 0.500, 0.670], [0.000, 0.000, 0.066]]
}

***

No. 12
{
  "formula": "LaReN3",
  "functional": "PBE",
  "state": "relaxed",
  "formation_enthalpy_0k_ev_per_atom": -0.959,
  "dft_energy_ev_per_cell": -92.2,
  "volume_a3_per_atom": 12.47,
  "space_group": "R-3c (167)",
  "density_g_cm3": 9.8,
  "energy_corrected_mp2020_ev_per_atom": -9.437,
  "lattice_angstrom": [[4.840, -2.810, 0.000], [4.840, 2.810, 0.000], [3.208, 0.000, 4.586]],
  "species": ["N", "N", "N", "N", "N", "N", "La", "La", "Re", "Re"],
  "frac_coords": [[0.711, 0.250, 0.789], [0.289, 0.750, 0.211], [0.211, 0.289, 0.750], [0.250, 0.789, 0.711], [0.789, 0.711, 0.250], [0.750, 0.211, 0.289], [0.250, 0.250, 0.250], [0.750, 0.750, 0.750], [0.500, 0.500, 0.500], [0.000, 0.000, 0.000]]
}